(1)
Li5FeS4 (GGA-PBE, relaxed); space-group type = No. 59; total energy after the MP2020 corrections = -0.1736 Ha/atom; formation enthalpy at 0 K = -1267 meV per atom; calculated volume = 365.1 Å³ per cell; VASP energy = -4.5221 eV/atom; polymorph energy (0 for the lowest one) = 0 meV per atom; total magnetization = 10.0 Bohr magnetons per cell
1.0
-3.181 -1.134 -4.802
6.378 -2.823 -3.559
-1.644 -7.248 2.802
S Li Fe
8 10 2
Direct
0.557 0.244 0.000 S
0.443 0.744 0.500 S
0.443 0.256 0.500 S
0.016 0.500 0.739 S
0.984 0.000 0.761 S
0.557 0.756 0.000 S
0.016 0.500 0.261 S
0.984 0.000 0.239 S
0.796 0.500 0.000 Li
0.253 0.243 0.212 Li
0.747 0.257 0.712 Li
0.747 0.743 0.288 Li
0.253 0.243 0.788 Li
0.253 0.757 0.212 Li
0.204 0.000 0.500 Li
0.747 0.743 0.712 Li
0.747 0.257 0.288 Li
0.253 0.757 0.788 Li
0.771 0.000 0.000 Fe
0.229 0.500 0.500 Fe

***

(2)
LiFeS2 (GGA-PBE, relaxed); space-group type = No. 227; total energy after the MP2020 corrections = -0.2048 Ha/atom; formation enthalpy at 0 K = -910 meV per atom; calculated volume = 231.1 Å³ per cell; VASP energy = -5.3211 eV/atom; total magnetization = 4.0 Bohr magnetons per cell
1.0
6.300 -0.879 2.642
3.635 5.452 2.124
1.085 1.007 6.727
S Fe Li
8 4 4
Direct
0.835 0.388 0.388 S
0.415 0.862 0.862 S
0.388 0.835 0.388 S
0.388 0.388 0.835 S
0.862 0.862 0.862 S
0.862 0.415 0.862 S
0.862 0.862 0.415 S
0.388 0.388 0.388 S
0.625 0.625 0.625 Fe
0.625 0.625 0.125 Fe
0.625 0.125 0.625 Fe
0.125 0.625 0.625 Fe
0.125 0.625 0.125 Li
0.125 0.125 0.125 Li
0.125 0.125 0.625 Li
0.625 0.125 0.125 Li

***

(3)
Li2Fe3S4 (GGA-PBE, relaxed); space-group type = No. 15; total energy after the MP2020 corrections = -0.2143 Ha/atom; formation enthalpy at 0 K = -746 meV per atom; calculated volume = 321.0 Å³ per cell; VASP energy = -5.6089 eV/atom; polymorph energy (0 for the lowest one) = 0 meV per atom; total magnetization = 8.3 Bohr magnetons per cell
1.0
-7.424 -5.014 0.499
-5.884 -2.464 6.309
-4.853 3.849 -0.403
S Li Fe
8 4 6
Direct
0.897 0.500 0.296 S
0.694 0.199 0.556 S
0.500 0.897 0.796 S
0.801 0.306 0.944 S
0.306 0.801 0.444 S
0.199 0.694 0.056 S
0.103 0.500 0.704 S
0.500 0.103 0.204 S
0.190 0.984 0.055 Li
0.810 0.016 0.945 Li
0.984 0.190 0.555 Li
0.016 0.810 0.445 Li
0.185 0.443 0.058 Fe
0.815 0.557 0.942 Fe
0.487 0.513 0.750 Fe
0.513 0.487 0.250 Fe
0.443 0.185 0.558 Fe
0.557 0.815 0.442 Fe

***

(4)
LiFeS2 (GGA-PBE, relaxed); space-group type = No. 164; total energy after the MP2020 corrections = -0.2067 Ha/atom; formation enthalpy at 0 K = -961 meV per atom; calculated volume = 57.8 Å³ per cell; VASP energy = -5.3725 eV/atom; total magnetization = 1.0 Bohr magnetons per cell
1.0
2.500 2.311 -0.241
-3.248 0.945 -0.459
-0.473 1.098 5.604
S Fe Li
2 1 1
Direct
0.333 0.667 0.209 S
0.667 0.333 0.791 S
0.000 0.000 0.000 Fe
0.000 0.000 0.500 Li

***

(5)
Li2Fe2S3 (GGA-PBE, relaxed); space-group type = No. 14; total energy after the MP2020 corrections = -0.2051 Ha/atom; formation enthalpy at 0 K = -843 meV per atom; calculated volume = 250.4 Å³ per cell; VASP energy = -5.3656 eV/atom; polymorph energy (0 for the lowest one) = 55 meV per atom; total magnetization = 15.8 Bohr magnetons per cell
1.0
-6.548 -0.050 -0.420
-0.267 -4.368 4.682
-0.412 2.412 6.134
S Fe Li
6 4 4
Direct
0.443 0.185 0.666 S
0.943 0.315 0.334 S
0.557 0.815 0.334 S
0.000 0.000 0.000 S
0.057 0.685 0.666 S
0.500 0.500 0.000 S
0.386 0.557 0.648 Fe
0.114 0.057 0.648 Fe
0.886 0.943 0.352 Fe
0.614 0.443 0.352 Fe
0.339 0.127 0.070 Li
0.661 0.873 0.930 Li
0.839 0.373 0.930 Li
0.161 0.627 0.070 Li

***

(6)
Li5FeS4 (GGA-PBE, relaxed); space-group type = No. 44; total energy after the MP2020 corrections = -0.1696 Ha/atom; formation enthalpy at 0 K = -1158 meV per atom; calculated volume = 167.8 Å³ per cell; VASP energy = -4.4127 eV/atom; polymorph energy (0 for the lowest one) = 109 meV per atom; total magnetization = 4.5 Bohr magnetons per cell
1.0
-1.861 3.375 6.676
1.861 -3.375 6.676
1.861 3.375 -6.676
Li S Fe
5 4 1
Direct
0.605 0.821 0.785 Li
0.395 0.177 0.218 Li
0.958 0.177 0.782 Li
0.036 0.821 0.215 Li
0.496 0.496 0.000 Li
0.753 0.000 0.753 S
0.203 0.703 0.500 S
0.247 0.000 0.247 S
0.797 0.297 0.500 S
0.995 0.495 0.500 Fe

***

(7)
Li2FeSnS4 (GGA-PBE, relaxed); space-group type = No. 7; total energy after the MP2020 corrections = -0.1876 Ha/atom; formation enthalpy at 0 K = -1000 meV per atom; calculated volume = 352.7 Å³ per cell; VASP energy = -4.8539 eV/atom; total magnetization = 8.0 Bohr magnetons per cell
1.0
6.851 0.000 0.000
0.000 6.458 0.000
0.000 6.430 7.971
S Sn Fe Li
8 2 2 4
Direct
0.318 0.197 0.061 S
0.669 0.672 0.083 S
0.682 0.197 0.561 S
0.147 0.435 0.322 S
0.853 0.435 0.822 S
0.331 0.672 0.583 S
0.173 0.910 0.819 S
0.827 0.910 0.319 S
0.327 0.803 0.072 Sn
0.673 0.803 0.572 Sn
0.827 0.552 0.319 Fe
0.173 0.552 0.819 Fe
0.840 0.047 0.826 Li
0.665 0.304 0.068 Li
0.160 0.047 0.326 Li
0.335 0.304 0.568 Li

***

(8)
LuFe2 (GGA-PBE, relaxed); space-group type = No. 194; formation enthalpy at 0 K = -152 meV per atom; calculated volume = 183.0 Å³ per cell; VASP energy = -7.3052 eV/atom; total magnetization = 12.4 Bohr magnetons per cell
1.0
3.514 3.622 0.426
1.383 -4.871 -0.091
0.648 0.338 -8.208
Fe Lu
8 4
Direct
0.000 0.000 0.000 Fe
0.167 0.833 0.750 Fe
0.833 0.167 0.250 Fe
0.334 0.167 0.250 Fe
0.833 0.666 0.250 Fe
0.167 0.334 0.750 Fe
0.000 0.000 0.500 Fe
0.666 0.833 0.750 Fe
0.333 0.667 0.062 Lu
0.667 0.333 0.938 Lu
0.333 0.667 0.438 Lu
0.667 0.333 0.562 Lu